[1]
Na3BiN2: optimized geometry, PBE.

Calculated values
**Energy of formation**: 182 meV/atom
**SG**: Ia-3
**MP2020-corrected energy**: -3.91 eV/atom
**Calculated volume**: 17.3 Å³ per atom
**Theoretical density**: 4.90 g/cm3
**Raw total energy**: -3.79 eV per atom

Cell lengths 10.254, 10.254, 10.254 Å; angles 109.47, 109.47, 109.47 degrees
Atoms (fractional coordinates):
Na  0.002  0.974  0.238
Na  0.026  0.762  0.998
Na  0.029  0.502  0.264
Na  0.235  0.764  0.262
Na  0.236  0.738  0.765
Na  0.238  0.002  0.974
Na  0.262  0.235  0.764
Na  0.264  0.029  0.502
Na  0.265  0.526  0.529
Na  0.471  0.735  0.474
Na  0.474  0.471  0.735
Na  0.498  0.736  0.971
Na  0.502  0.264  0.029
Na  0.526  0.529  0.265
Na  0.529  0.265  0.526
Na  0.735  0.474  0.471
Na  0.736  0.971  0.498
Na  0.738  0.765  0.236
Na  0.762  0.998  0.026
Na  0.764  0.262  0.235
Na  0.765  0.236  0.738
Na  0.971  0.498  0.736
Na  0.974  0.238  0.002
Na  0.998  0.026  0.762
Bi  0.000  0.241  0.500
Bi  0.000  0.759  0.500
Bi  0.241  0.500  0.000
Bi  0.259  0.259  0.259
Bi  0.500  0.000  0.241
Bi  0.500  0.000  0.759
Bi  0.741  0.741  0.741
Bi  0.759  0.500  0.000
N  0.000  0.000  0.500
N  0.000  0.500  0.000
N  0.022  0.250  0.272
N  0.228  0.478  0.750
N  0.250  0.272  0.022
N  0.250  0.772  0.522
N  0.272  0.022  0.250
N  0.478  0.750  0.228
N  0.500  0.000  0.000
N  0.500  0.500  0.500
N  0.522  0.250  0.772
N  0.728  0.978  0.750
N  0.750  0.228  0.478
N  0.750  0.728  0.978
N  0.772  0.522  0.250
N  0.978  0.750  0.728

***

[2]
VAu2: optimized geometry, PBE.

Calculated values
**Energy of formation**: 12 meV/atom
**SG**: Cmcm
**Calculated volume**: 16.9 Å³ per atom
**Theoretical density**: 14.57 g/cm3
**Raw total energy**: -5.20 eV per atom

Cell lengths 4.982, 4.982, 4.812 Å; angles 90.00, 90.00, 58.07 degrees
Atoms (fractional coordinates):
V  0.218  0.782  0.750
V  0.782  0.218  0.250
Au  0.117  0.560  0.250
Au  0.440  0.883  0.250
Au  0.560  0.117  0.750
Au  0.883  0.440  0.750

***

[3]
UMn2Si2: optimized geometry, PBE.

Calculated values
**Energy of formation**: -356 meV/atom
**SG**: I4/mmm
**MP2020-corrected energy**: -8.45 eV/atom
**Calculated volume**: 15.4 Å³ per atom
**Theoretical density**: 8.73 g/cm3
**Raw total energy**: -8.48 eV per atom

Cell lengths 5.819, 5.819, 5.819 Å; angles 141.17, 141.17, 56.08 degrees
Atoms (fractional coordinates):
U  0.000  0.000  0.000
Mn  0.250  0.750  0.500
Mn  0.750  0.250  0.500
Si  0.384  0.384  0.000
Si  0.616  0.616  0.000

***

[4]
Na2Zn3P4O12: optimized geometry, PBE.

Calculated values
**Energy of formation**: -2086 meV/atom
**SG**: Pnma
**MP2020-corrected energy**: -6.25 eV/atom
**Calculated volume**: 16.4 Å³ per atom
**Theoretical density**: 2.70 g/cm3
**Raw total energy**: -5.86 eV per atom

Cell lengths 8.520, 12.473, 12.931 Å; angles 90.00, 90.00, 90.00 degrees
Atoms (fractional coordinates):
Na  0.229  0.036  0.068
Na  0.229  0.464  0.068
Na  0.271  0.536  0.568
Na  0.271  0.964  0.568
Na  0.729  0.036  0.432
Na  0.729  0.464  0.432
Na  0.771  0.536  0.932
Na  0.771  0.964  0.932
Zn  0.075  0.750  0.068
Zn  0.087  0.069  0.338
Zn  0.087  0.431  0.338
Zn  0.413  0.569  0.838
Zn  0.413  0.931  0.838
Zn  0.425  0.250  0.568
Zn  0.575  0.750  0.432
Zn  0.587  0.069  0.162
Zn  0.587  0.431  0.162
Zn  0.913  0.569  0.662
Zn  0.913  0.931  0.662
Zn  0.925  0.250  0.932
P  0.033  0.250  0.505
P  0.059  0.250  0.164
P  0.121  0.078  0.808
P  0.121  0.422  0.808
P  0.379  0.578  0.308
P  0.379  0.922  0.308
P  0.441  0.750  0.664
P  0.467  0.750  0.005
P  0.533  0.250  0.995
P  0.559  0.250  0.336
P  0.621  0.078  0.692
P  0.621  0.422  0.692
P  0.879  0.578  0.192
P  0.879  0.922  0.192
P  0.941  0.750  0.836
P  0.967  0.750  0.495
O  0.023  0.646  0.550
O  0.023  0.854  0.550
O  0.035  0.611  0.137
O  0.035  0.889  0.137
O  0.082  0.250  0.045
O  0.091  0.027  0.701
O  0.091  0.473  0.701
O  0.133  0.146  0.209
O  0.133  0.354  0.209
O  0.211  0.250  0.522
O  0.220  0.005  0.882
O  0.220  0.495  0.882
O  0.280  0.505  0.382
O  0.280  0.995  0.382
O  0.289  0.750  0.022
O  0.367  0.646  0.709
O  0.367  0.854  0.709
O  0.409  0.527  0.201
O  0.409  0.973  0.201
O  0.418  0.750  0.545
O  0.465  0.111  0.637
O  0.465  0.389  0.637
O  0.477  0.146  0.050
O  0.477  0.354  0.050
O  0.523  0.646  0.950
O  0.523  0.854  0.950
O  0.535  0.611  0.363
O  0.535  0.889  0.363
O  0.582  0.250  0.455
O  0.591  0.027  0.799
O  0.591  0.473  0.799
O  0.633  0.146  0.291
O  0.633  0.354  0.291
O  0.711  0.250  0.978
O  0.720  0.005  0.618
O  0.720  0.495  0.618
O  0.780  0.505  0.118
O  0.780  0.995  0.118
O  0.789  0.750  0.478
O  0.867  0.646  0.791
O  0.867  0.854  0.791
O  0.909  0.527  0.299
O  0.909  0.973  0.299
O  0.918  0.750  0.955
O  0.965  0.111  0.863
O  0.965  0.389  0.863
O  0.977  0.146  0.450
O  0.977  0.354  0.450

***

[5]
Pr3Si2C2: optimized geometry, PBE.

Calculated values
**Energy of formation**: -382 meV/atom
**SG**: Cmm2
**Calculated volume**: 21.7 Å³ per atom
**Theoretical density**: 5.49 g/cm3
**Raw total energy**: -6.62 eV per atom

Cell lengths 8.651, 8.651, 4.226 Å; angles 90.00, 90.00, 151.23 degrees
Atoms (fractional coordinates):
Pr  0.000  0.000  0.000
Pr  0.342  0.658  0.503
Pr  0.658  0.342  0.503
Si  0.203  0.797  0.003
Si  0.797  0.203  0.003
C  0.351  0.351  0.500
C  0.649  0.649  0.500

***

[6]
LaMg14Si: optimized geometry, PBE.

Calculated values
**Energy of formation**: -2 meV/atom
**SG**: Amm2
**Offset from the most stable computed form**: 0.000 eV/f.u.
**MP2020-corrected energy**: -2.05 eV/atom
**Calculated volume**: 23.4 Å³ per atom
**Theoretical density**: 2.25 g/cm3
**Raw total energy**: -2.05 eV per atom

Cell lengths 10.331, 6.534, 6.534 Å; angles 57.95, 90.00, 90.00 degrees
Atoms (fractional coordinates):
La  0.000  0.000  0.000
Mg  0.000  0.011  0.493
Mg  0.000  0.493  0.011
Mg  0.235  0.654  0.654
Mg  0.256  0.165  0.652
Mg  0.256  0.652  0.165
Mg  0.262  0.162  0.162
Mg  0.500  0.497  0.497
Mg  0.500  0.498  0.990
Mg  0.500  0.990  0.498
Mg  0.500  0.994  0.994
Mg  0.738  0.162  0.162
Mg  0.744  0.165  0.652
Mg  0.744  0.652  0.165
Mg  0.765  0.654  0.654
Si  0.000  0.481  0.481

***

[7]
Nb3Sb2Te5: optimized geometry, PBE.

Calculated values
**Energy of formation**: -606 meV/atom
**SG**: I-43m
**MP2020-corrected energy**: -6.03 eV/atom
**Calculated volume**: 24.4 Å³ per atom
**Theoretical density**: 7.89 g/cm3
**Raw total energy**: -5.82 eV per atom
**Piezoelectric modulus e_max**: 0.06 C/m²

Cell lengths 8.592, 8.592, 8.592 Å; angles 109.47, 109.47, 109.47 degrees
Atoms (fractional coordinates):
Nb  0.000  0.343  0.343
Nb  0.000  0.657  0.657
Nb  0.343  0.000  0.343
Nb  0.343  0.343  0.000
Nb  0.657  0.000  0.657
Nb  0.657  0.657  0.000
Sb  0.000  0.000  0.670
Sb  0.000  0.670  0.000
Sb  0.330  0.330  0.330
Sb  0.670  0.000  0.000
Te  0.000  0.000  0.328
Te  0.000  0.328  0.000
Te  0.250  0.500  0.750
Te  0.250  0.750  0.500
Te  0.328  0.000  0.000
Te  0.500  0.250  0.750
Te  0.500  0.750  0.250
Te  0.672  0.672  0.672
Te  0.750  0.250  0.500
Te  0.750  0.500  0.250

***

[8]
HfCo: optimized geometry, PBE.

Calculated values
**Energy of formation**: -401 meV/atom
**SG**: Cmcm
**Calculated volume**: 15.8 Å³ per atom
**Theoretical density**: 12.44 g/cm3
**Raw total energy**: -8.93 eV per atom

Cell lengths 5.007, 5.007, 4.212 Å; angles 90.00, 90.00, 143.11 degrees
Atoms (fractional coordinates):
Hf  0.140  0.860  0.750
Hf  0.860  0.140  0.250
Co  0.414  0.586  0.750
Co  0.586  0.414  0.250